Entry 1:
Material: Cr4P3O12
Method: DFT, GGA+U
State: optimized geometry

```
76
Lattice="6.215 0.000 0.000 0.000 15.091 0.000 0.000 0.000 10.296" Properties=species:S:1:pos:R:3 pbc="T T T"
Cr 0.546 1.949 1.510
Cr 0.546 5.596 1.510
Cr 0.870 1.664 5.774
Cr 0.870 5.881 5.774
Cr 2.238 9.210 0.626
Cr 2.238 13.427 0.626
Cr 2.562 9.495 6.658
Cr 2.562 13.142 6.658
Cr 3.653 1.949 3.638
Cr 3.653 5.596 3.638
Cr 3.977 1.664 9.669
Cr 3.977 5.881 9.669
Cr 5.345 9.210 4.521
Cr 5.345 13.427 4.521
Cr 5.669 9.495 8.786
Cr 5.669 13.142 8.786
P 0.009 3.773 4.141
P 0.851 1.086 8.876
P 0.851 6.460 8.876
P 2.256 8.632 3.729
P 2.256 14.005 3.729
P 3.099 11.319 9.289
P 3.116 3.773 1.007
P 3.959 1.086 6.567
P 3.959 6.460 6.567
P 5.364 8.632 1.419
P 5.364 14.005 1.419
P 6.206 11.319 6.154
O 0.204 9.285 0.423
O 0.204 13.352 0.423
O 0.355 7.804 8.332
O 0.355 14.833 8.332
O 0.427 3.773 5.641
O 0.600 2.450 3.574
O 0.600 5.096 3.574
O 1.008 8.458 4.670
O 1.008 14.179 4.670
O 1.152 1.998 7.696
O 1.152 5.547 7.696
O 1.544 11.319 6.353
O 1.563 3.773 1.205
O 1.955 9.544 2.548
O 1.955 13.093 2.548
O 2.099 0.912 9.817
O 2.099 6.633 9.817
O 2.508 9.996 8.722
O 2.508 12.641 8.722
O 2.681 11.319 0.493
O 2.752 0.258 3.184
O 2.752 7.287 3.184
O 2.903 1.740 5.571
O 2.903 5.806 5.571
O 3.312 9.285 4.725
O 3.312 13.352 4.725
O 3.463 7.804 7.111
O 3.463 14.833 7.111
O 3.534 3.773 9.802
O 3.707 2.450 1.574
O 3.707 5.096 1.574
O 4.116 8.458 0.478
O 4.116 14.179 0.478
O 4.260 1.998 7.747
O 4.260 5.547 7.747
O 4.652 11.319 9.091
O 4.671 3.773 3.943
O 5.063 9.544 2.599
O 5.063 13.093 2.599
O 5.207 0.912 5.626
O 5.207 6.633 5.626
O 5.615 9.996 6.722
O 5.615 12.641 6.722
O 5.788 11.319 4.654
O 5.860 0.258 1.963
O 5.860 7.287 1.963
O 6.011 1.740 9.872
O 6.011 5.806 9.872
```

## Properties
relative energy among the computed polymorphs: 0.68 eV/f.u.
ΔE_f: -2.43 eV per atom
E: -576.9 eV for the cell shown

***

Entry 2:
Material: CrPO4
Method: DFT, GGA+U
State: optimized geometry

```
24
Lattice="6.288 0.000 0.000 -0.837 6.293 0.000 -3.129 -0.758 8.360" Properties=species:S:1:pos:R:3 pbc="T T T"
Cr 0.168 0.096 2.430
Cr -1.885 4.416 8.248
Cr 4.206 1.119 0.112
Cr 2.153 5.440 5.931
P -2.152 1.073 8.058
P -0.440 5.143 5.516
P 2.761 0.392 2.844
P 4.473 4.462 0.303
O -2.574 0.883 6.612
O -0.114 1.173 0.654
O -1.711 4.608 6.255
O -0.949 5.778 4.234
O 1.267 3.246 0.125
O -0.884 0.163 8.299
O 1.123 5.567 1.967
O 1.603 1.403 3.010
O 0.718 4.133 5.351
O 1.198 -0.031 6.393
O 3.205 5.373 0.061
O 1.054 2.289 8.236
O 3.270 -0.242 4.127
O 4.032 0.927 2.105
O 2.435 4.362 7.706
O 4.895 4.652 1.748
```

## Properties
ΔE_f: -2.51 eV per atom
E: -180.7 eV for the cell shown

***

Entry 3:
Material: Cr3P4O14
Method: DFT, GGA+U
State: optimized geometry

```
21
Lattice="5.915 0.000 0.000 1.790 6.813 0.000 2.159 0.685 7.296" Properties=species:S:1:pos:R:3 pbc="T T T"
Cr 0.000 0.000 0.000
Cr 2.993 3.442 2.424
Cr 6.871 4.057 4.872
P 4.004 5.223 5.003
P 4.647 2.846 6.709
P 5.217 4.653 0.586
P 5.860 2.276 2.293
O 3.681 6.614 5.445
O 2.829 4.584 4.134
O 4.053 4.319 6.333
O 3.600 1.813 6.395
O 2.812 2.261 0.904
O 3.938 4.820 1.445
O 5.323 5.021 4.240
O 4.541 2.477 3.056
O 5.927 2.678 5.850
O 7.052 5.237 6.392
O 6.265 5.686 0.900
O 5.812 3.180 0.963
O 7.035 2.914 3.161
O 6.184 0.885 1.851
```

## Properties
relative energy among the computed polymorphs: 1.63 eV/f.u.
ΔE_f: -2.51 eV per atom
E: -156.9 eV for the cell shown

***

Entry 4:
Material: CrP2O6
Method: DFT, GGA+U
State: optimized geometry

```
36
Lattice="-2.979 -3.624 1.775 -4.126 5.538 -0.337 -2.008 -2.478 -13.148" Properties=species:S:1:pos:R:3 pbc="T T T"
O -2.555 1.260 -0.472
O -4.425 2.993 0.038
O -6.665 1.190 -9.872
O -3.152 -0.246 -3.723
P -3.775 1.988 -0.909
O -1.962 -1.181 -9.299
O -4.688 -3.557 -11.747
O -2.194 -0.506 -6.061
P -2.662 -1.186 -10.610
O -2.182 -2.126 -11.710
O -6.445 2.136 -7.460
P -6.268 -1.063 -6.594
P -3.148 -1.759 -3.148
O -6.918 -0.058 -5.648
O -4.399 1.467 -8.808
O -4.884 0.894 -1.347
O -2.668 -2.699 -4.249
O -4.064 1.227 -5.552
P -5.337 -2.552 -10.801
O -2.447 -1.753 -1.837
P -5.965 1.195 -8.561
O -5.646 -3.297 -9.409
Cr -3.985 -3.676 -5.921
O -4.714 -2.031 -2.901
Cr -5.128 3.113 -5.787
O -3.467 2.733 -2.300
O -6.558 -1.824 -11.238
P -6.450 0.622 -1.100
O -5.960 -0.317 -7.986
Cr -7.622 0.061 -11.475
Cr -1.491 -0.626 -0.236
P -2.844 0.499 -5.115
O -4.228 -1.458 -10.363
O -7.150 0.617 -2.411
O -6.930 1.563 0.001
O -5.048 -1.790 -6.157
```

## Properties
relative energy among the computed polymorphs: 0.27 eV/f.u.
ΔE_f: -2.52 eV per atom
E: -267.0 eV for the cell shown

***

Entry 5:
Material: CrP2O7
Method: DFT, GGA+U
State: optimized geometry

```
40
Lattice="6.794 0.000 0.000 0.000 8.325 0.000 -2.224 0.000 8.823" Properties=species:S:1:pos:R:3 pbc="T T T"
Cr 1.145 0.532 2.206
Cr 1.145 3.631 2.206
Cr 3.424 4.695 6.617
Cr 3.424 7.793 6.617
P 5.803 2.081 3.922
P -1.233 6.244 4.901
P 0.520 6.244 0.227
P 1.768 6.244 4.176
P 1.284 6.244 8.322
P 3.286 2.081 0.500
P 2.801 2.081 4.647
P 4.050 2.081 8.596
O -0.576 0.791 3.178
O -0.576 3.372 3.178
O 0.367 4.975 1.032
O 0.367 7.513 1.032
O 0.490 2.081 0.983
O -0.469 2.081 5.346
O 0.360 6.244 4.940
O -0.310 6.244 8.261
O 0.559 2.081 7.892
O 1.805 2.081 3.428
O 1.931 4.975 3.373
O 1.931 7.513 3.373
O 2.866 0.790 1.239
O 2.866 3.372 1.239
O 1.704 4.953 7.584
O 1.704 7.535 7.584
O 2.639 0.812 5.449
O 2.639 3.351 5.449
O 2.765 6.244 5.395
O 4.010 6.244 0.931
O 4.879 2.081 0.562
O 4.209 2.081 3.882
O 5.039 6.244 3.477
O 4.080 6.244 7.840
O 4.202 0.812 7.791
O 4.202 3.350 7.791
O 5.146 4.954 5.645
O 5.146 7.534 5.645
```

## Properties
relative energy among the computed polymorphs: 1.08 eV/f.u.
ΔE_f: -2.35 eV per atom
E: -287.2 eV for the cell shown

***

Entry 6:
Material: CrP2O7
Method: DFT, GGA+U
State: optimized geometry

```
10
Lattice="3.308 -3.952 0.000 3.308 3.952 0.000 -1.009 0.000 4.435" Properties=species:S:1:pos:R:3 pbc="T T T"
Cr 0.000 0.000 0.000
P 1.370 1.180 2.617
P 4.238 1.180 1.818
O 1.548 2.539 3.267
O 0.777 0.123 3.560
O 4.059 2.539 1.168
O 2.804 0.580 2.218
O 1.729 -2.646 3.125
O 4.831 0.123 0.876
O 3.878 -2.646 1.310
```

## Properties
relative energy among the computed polymorphs: 0.41 eV/f.u.
ΔE_f: -2.42 eV per atom
E: -72.5 eV for the cell shown

***

Entry 7:
Material: CrPO5
Method: DFT, GGA+U
State: optimized geometry

```
28
Lattice="0.000 7.965 3.455 6.016 0.000 3.455 6.016 7.965 0.000" Properties=species:S:1:pos:R:3 pbc="T T T"
Cr 7.339 6.090 3.455
Cr 4.693 9.839 3.455
Cr 7.700 10.073 5.183
Cr 10.346 13.822 5.183
P 9.038 8.508 2.484
P 6.030 3.439 4.212
P 2.993 7.422 2.484
P 6.001 12.490 4.212
O 6.281 2.560 2.966
O 6.239 5.444 1.961
O 7.777 7.587 2.347
O 7.278 4.383 4.328
O 8.758 6.542 4.693
O 8.800 9.426 3.689
O 5.793 10.486 1.961
O 4.770 4.360 4.075
O 4.254 8.343 2.347
O 6.045 6.706 4.223
O 3.231 6.503 3.689
O 5.986 9.224 4.223
O 7.262 11.569 4.075
O 7.761 8.365 6.056
O 8.994 10.689 5.951
O 5.750 13.370 2.966
O 9.053 13.206 5.951
O 4.754 11.547 4.328
O 3.273 9.387 4.693
O 10.285 15.530 6.056
```

## Properties
relative energy among the computed polymorphs: 0.70 eV/f.u.
ΔE_f: -2.08 eV per atom
E: -195.8 eV for the cell shown

***

Entry 8:
Material: CrP3O9
Method: DFT, GGA+U
State: optimized geometry

```
52
Lattice="-3.236 -5.287 2.012 -0.965 -4.198 -12.578 8.189 -1.449 -1.192" Properties=species:S:1:pos:R:3 pbc="T T T"
P 5.254 -4.827 -6.336
O 3.998 -5.649 -11.547
O 2.444 -5.424 -9.598
P 3.961 -5.539 -10.049
Cr 0.873 -5.958 1.394
O 3.809 -8.833 -7.503
O -0.845 -6.163 -11.483
O 5.909 -4.091 -2.220
O 5.804 -3.764 -7.386
O 4.636 -6.622 -9.262
O 4.669 -4.308 -0.090
O 0.183 -6.189 -9.135
O 2.694 -5.684 0.618
P 1.083 -4.884 -8.987
O 3.500 -7.167 -1.966
O -0.952 -6.734 -1.839
O 0.508 -3.808 -9.856
P -0.052 -5.428 -1.691
O 2.863 -6.194 -4.251
O 5.514 -4.304 -4.952
O 1.319 -5.284 -12.444
O 1.309 -5.968 -2.302
O 0.476 -2.025 -1.423
O -0.016 -8.324 -10.370
O -3.132 -5.155 1.804
O 2.084 -3.582 -5.086
P 0.826 -1.279 -0.166
Cr 7.096 -3.858 -3.820
O 4.542 -4.120 -9.588
O -1.981 -6.708 -4.187
O 1.956 -7.151 -6.874
Cr 2.007 -5.414 -5.900
P 2.825 -6.083 -2.753
P 1.372 -2.282 -4.858
O 1.218 -4.565 -7.526
O -2.118 -7.048 -9.586
O -1.997 -4.611 -5.491
O -0.018 -2.306 -4.303
O -0.628 -4.352 -2.561
P 2.471 -8.556 -6.885
O 3.829 -5.140 -6.677
P 4.572 -3.814 -1.602
O 3.414 -9.047 -10.235
O 0.183 -5.828 -5.148
O -1.625 -6.767 -6.705
P -1.274 -6.021 -5.449
O 3.406 -4.664 -2.293
O 4.056 -2.408 -1.591
P -0.728 -7.025 -10.141
O 0.082 -5.109 -0.230
Cr 4.996 -8.600 -9.101
P 3.154 -9.569 -11.619
```

## Properties
relative energy among the computed polymorphs: 0.28 eV/f.u.
ΔE_f: -2.60 eV per atom
E: -384.1 eV for the cell shown